No. 1
# Na3ZrTiSi2PO12 | the Materials Project | GGA-PBE | relaxed
# Calculated formation energy: -3.07 eV per atom
# E: -7.46 eV per atom
# M_tot: 0.00 μB per cell
data_Na3ZrTiSi2PO12
_space_group_name_H-M_alt 'P 1'
_space_group_IT_number 1
_cell_length_a 9.045
_cell_length_b 9.083
_cell_length_c 12.861
_cell_angle_alpha 90.29
_cell_angle_beta 90.17
_cell_angle_gamma 90.01
loop_
_space_group_symop_operation_xyz
'x,y,z'
loop_
_atom_site_label
_atom_site_type_symbol
_atom_site_fract_x
_atom_site_fract_y
_atom_site_fract_z
_atom_site_occupancy
Na1 Na 0.000 0.000 0.000 1
Na2 Na 0.000 0.101 0.256 1
Na3 Na 0.005 0.950 0.494 1
Na4 Na 0.007 0.836 0.756 1
Na5 Na 0.348 0.160 0.561 1
Na6 Na 0.355 0.794 0.064 1
Na7 Na 0.499 0.455 0.000 1
Na8 Na 0.500 0.627 0.758 1
Na9 Na 0.504 0.503 0.492 1
Na10 Na 0.505 0.343 0.258 1
Na11 Na 0.838 0.666 0.072 1
Na12 Na 0.848 0.290 0.562 1
Zr1 Zr 0.212 0.471 0.148 1
Zr2 Zr 0.214 0.481 0.647 1
Zr3 Zr 0.715 0.971 0.649 1
Zr4 Zr 0.796 0.476 0.861 1
Ti1 Ti 0.298 0.971 0.861 1
Ti2 Ti 0.301 0.980 0.360 1
Ti3 Ti 0.709 0.984 0.150 1
Ti4 Ti 0.802 0.472 0.361 1
Si1 Si 0.155 0.324 0.399 1
Si2 Si 0.160 0.628 0.903 1
Si3 Si 0.348 0.835 0.607 1
Si4 Si 0.355 0.116 0.110 1
Si5 Si 0.653 0.125 0.398 1
Si6 Si 0.655 0.835 0.905 1
Si7 Si 0.846 0.617 0.605 1
Si8 Si 0.847 0.328 0.113 1
P1 P 0.003 0.765 0.259 1
P2 P 0.014 0.181 0.759 1
P3 P 0.504 0.262 0.760 1
P4 P 0.512 0.695 0.261 1
O1 O 0.018 0.562 0.611 1
O2 O 0.024 0.371 0.112 1
O3 O 0.089 0.865 0.335 1
O4 O 0.091 0.079 0.838 1
O5 O 0.107 0.673 0.188 1
O6 O 0.122 0.274 0.695 1
O7 O 0.159 0.142 0.400 1
O8 O 0.166 0.811 0.906 1
O9 O 0.231 0.566 0.796 1
O10 O 0.235 0.391 0.297 1
O11 O 0.247 0.380 0.501 1
O12 O 0.254 0.569 0.003 1
O13 O 0.268 0.915 0.508 1
O14 O 0.273 0.040 0.010 1
O15 O 0.276 0.893 0.719 1
O16 O 0.282 0.052 0.218 1
O17 O 0.350 0.655 0.600 1
O18 O 0.357 0.296 0.106 1
O19 O 0.397 0.154 0.815 1
O20 O 0.405 0.799 0.322 1
O21 O 0.420 0.596 0.184 1
O22 O 0.421 0.359 0.680 1
O23 O 0.472 0.085 0.399 1
O24 O 0.476 0.877 0.897 1
O25 O 0.522 0.885 0.611 1
O26 O 0.531 0.063 0.115 1
O27 O 0.579 0.365 0.841 1
O28 O 0.593 0.590 0.336 1
O29 O 0.617 0.787 0.193 1
O30 O 0.620 0.175 0.696 1
O31 O 0.654 0.653 0.909 1
O32 O 0.660 0.307 0.402 1
O33 O 0.723 0.057 0.290 1
O34 O 0.736 0.891 0.799 1
O35 O 0.741 0.893 0.010 1
O36 O 0.746 0.068 0.499 1
O37 O 0.763 0.410 0.017 1
O38 O 0.765 0.560 0.712 1
O39 O 0.767 0.537 0.505 1
O40 O 0.780 0.396 0.222 1
O41 O 0.840 0.147 0.108 1
O42 O 0.851 0.797 0.600 1
O43 O 0.902 0.655 0.319 1
O44 O 0.905 0.284 0.818 1
O45 O 0.911 0.864 0.184 1
O46 O 0.928 0.085 0.678 1
O47 O 0.976 0.369 0.399 1
O48 O 0.982 0.588 0.906 1



No. 2
# Na3ZrTiSi2PO12 | the Materials Project | GGA-PBE | relaxed
# Calculated formation energy: -3.08 eV per atom
# E: -7.47 eV per atom
# M_tot: 0.00 μB per cell
data_Na3ZrTiSi2PO12
_space_group_name_H-M_alt 'P 1'
_space_group_IT_number 1
_cell_length_a 9.058
_cell_length_b 9.070
_cell_length_c 22.281
_cell_angle_alpha 89.68
_cell_angle_beta 89.60
_cell_angle_gamma 60.15
loop_
_space_group_symop_operation_xyz
'x,y,z'
loop_
_atom_site_label
_atom_site_type_symbol
_atom_site_fract_x
_atom_site_fract_y
_atom_site_fract_z
_atom_site_occupancy
Na1 Na 0.000 0.000 0.000 1
Na2 Na 0.000 0.348 0.247 1
Na3 Na 0.006 0.988 0.503 1
Na4 Na 0.007 0.617 0.745 1
Na5 Na 0.043 0.649 0.416 1
Na6 Na 0.309 0.652 0.915 1
Na7 Na 0.332 0.957 0.085 1
Na8 Na 0.336 0.691 0.579 1
Na9 Na 0.338 0.326 0.334 1
Na10 Na 0.352 0.318 0.827 1
Na11 Na 0.373 0.987 0.742 1
Na12 Na 0.643 0.983 0.254 1
Na13 Na 0.664 0.022 0.912 1
Na14 Na 0.666 0.277 0.422 1
Na15 Na 0.669 0.663 0.661 1
Na16 Na 0.672 0.655 0.173 1
Na17 Na 0.706 0.315 0.083 1
Na18 Na 0.960 0.321 0.585 1
Zr1 Zr 0.010 0.981 0.356 1
Zr2 Zr 0.332 0.315 0.979 1
Zr3 Zr 0.665 0.649 0.808 1
Zr4 Zr 0.678 0.649 0.023 1
Zr5 Zr 0.997 0.984 0.151 1
Zr6 Zr 0.998 0.995 0.851 1
Ti1 Ti 0.005 0.974 0.643 1
Ti2 Ti 0.322 0.324 0.480 1
Ti3 Ti 0.331 0.326 0.189 1
Ti4 Ti 0.344 0.314 0.682 1
Ti5 Ti 0.664 0.662 0.521 1
Ti6 Ti 0.673 0.639 0.317 1
Si1 Si 0.004 0.682 0.257 1
Si2 Si 0.042 0.321 0.090 1
Si3 Si 0.042 0.609 0.583 1
Si4 Si 0.294 0.688 0.745 1
Si5 Si 0.338 0.029 0.583 1
Si6 Si 0.373 0.946 0.916 1
Si7 Si 0.382 0.651 0.422 1
Si8 Si 0.625 0.029 0.086 1
Si9 Si 0.674 0.356 0.920 1
Si10 Si 0.698 0.286 0.254 1
Si11 Si 0.706 0.996 0.747 1
Si12 Si 0.957 0.365 0.421 1
P1 P 0.008 0.277 0.741 1
P2 P 0.306 0.981 0.249 1
P3 P 0.331 0.610 0.084 1
P4 P 0.628 0.314 0.580 1
P5 P 0.659 0.944 0.416 1
P6 P 0.963 0.652 0.911 1
O1 O 0.021 0.165 0.796 1
O2 O 0.028 0.765 0.319 1
O3 O 0.028 0.798 0.588 1
O4 O 0.030 0.146 0.088 1
O5 O 0.142 0.486 0.640 1
O6 O 0.143 0.326 0.150 1
O7 O 0.145 0.500 0.915 1
O8 O 0.146 0.350 0.424 1
O9 O 0.154 0.313 0.031 1
O10 O 0.164 0.012 0.584 1
O11 O 0.167 0.521 0.523 1
O12 O 0.169 0.492 0.248 1
O13 O 0.171 0.292 0.744 1
O14 O 0.179 0.777 0.806 1
O15 O 0.180 0.793 0.089 1
O16 O 0.181 0.005 0.302 1
O17 O 0.190 0.815 0.419 1
O18 O 0.190 0.951 0.914 1
O19 O 0.194 0.816 0.687 1
O20 O 0.228 0.963 0.190 1
O21 O 0.308 0.502 0.739 1
O22 O 0.317 0.161 0.528 1
O23 O 0.320 0.533 0.024 1
O24 O 0.321 0.145 0.250 1
O25 O 0.337 0.495 0.137 1
O26 O 0.354 0.120 0.644 1
O27 O 0.359 0.133 0.916 1
O28 O 0.369 0.475 0.421 1
O29 O 0.470 0.834 0.976 1
O30 O 0.475 0.664 0.484 1
O31 O 0.478 0.680 0.747 1
O32 O 0.485 0.826 0.257 1
O33 O 0.489 0.853 0.856 1
O34 O 0.495 0.350 0.916 1
O35 O 0.498 0.620 0.087 1
O36 O 0.503 0.836 0.578 1
O37 O 0.505 0.138 0.144 1
O38 O 0.506 0.126 0.421 1
O39 O 0.507 0.639 0.366 1
O40 O 0.508 0.329 0.633 1
O41 O 0.513 0.157 0.741 1
O42 O 0.513 0.299 0.246 1
O43 O 0.539 0.136 0.024 1
O44 O 0.544 0.302 0.521 1
O45 O 0.632 0.845 0.086 1
O46 O 0.642 0.480 0.583 1
O47 O 0.651 0.859 0.358 1
O48 O 0.666 0.475 0.864 1
O49 O 0.675 0.827 0.471 1
O50 O 0.685 0.442 0.984 1
O51 O 0.686 0.473 0.261 1
O52 O 0.699 0.818 0.745 1
O53 O 0.785 0.012 0.811 1
O54 O 0.792 0.161 0.312 1
O55 O 0.810 0.160 0.585 1
O56 O 0.813 0.013 0.089 1
O57 O 0.826 0.202 0.195 1
O58 O 0.826 0.958 0.419 1
O59 O 0.829 0.669 0.259 1
O60 O 0.835 0.163 0.916 1
O61 O 0.838 0.466 0.479 1
O62 O 0.839 0.982 0.693 1
O63 O 0.849 0.485 0.089 1
O64 O 0.850 0.661 0.966 1
O65 O 0.852 0.459 0.745 1
O66 O 0.855 0.625 0.578 1
O67 O 0.867 0.483 0.361 1
O68 O 0.883 0.641 0.852 1
O69 O 0.967 0.180 0.417 1
O70 O 0.970 0.819 0.915 1
O71 O 0.974 0.817 0.203 1
O72 O 0.996 0.191 0.683 1



No. 3
# Na2ZrTiSiP2O12 | the Materials Project | GGA-PBE | relaxed
# Calculated formation energy: -3.08 eV per atom
# E: -7.63 eV per atom
# M_tot: 0.00 μB per cell
data_Na2ZrTiSiP2O12
_space_group_name_H-M_alt 'P 1'
_space_group_IT_number 1
_cell_length_a 8.923
_cell_length_b 8.938
_cell_length_c 22.624
_cell_angle_alpha 90.02
_cell_angle_beta 90.02
_cell_angle_gamma 119.81
loop_
_space_group_symop_operation_xyz
'x,y,z'
loop_
_atom_site_label
_atom_site_type_symbol
_atom_site_fract_x
_atom_site_fract_y
_atom_site_fract_z
_atom_site_occupancy
Na1 Na 0.000 0.000 0.000 1
Na2 Na 0.000 0.002 0.489 1
Na3 Na 0.296 0.338 0.077 1
Na4 Na 0.333 0.314 0.411 1
Na5 Na 0.334 0.669 0.158 1
Na6 Na 0.337 0.665 0.661 1
Na7 Na 0.372 0.007 0.244 1
Na8 Na 0.653 0.313 0.832 1
Na9 Na 0.660 0.697 0.579 1
Na10 Na 0.694 0.666 0.914 1
Na11 Na 0.696 0.351 0.327 1
Na12 Na 0.996 0.641 0.749 1
Zr1 Zr 0.001 0.005 0.853 1
Zr2 Zr 0.004 0.013 0.638 1
Zr3 Zr 0.323 0.674 0.510 1
Zr4 Zr 0.333 0.666 0.306 1
Zr5 Zr 0.337 0.670 0.811 1
Zr6 Zr 0.656 0.335 0.682 1
Ti1 Ti 0.004 0.004 0.344 1
Ti2 Ti 0.330 0.680 0.017 1
Ti3 Ti 0.656 0.329 0.473 1
Ti4 Ti 0.663 0.346 0.180 1
Ti5 Ti 0.677 0.347 0.979 1
Ti6 Ti 0.989 0.000 0.141 1
Si1 Si 0.037 0.663 0.914 1
Si2 Si 0.285 0.290 0.240 1
Si3 Si 0.333 0.972 0.406 1
Si4 Si 0.371 0.337 0.573 1
Si5 Si 0.667 0.632 0.078 1
Si6 Si 0.704 0.713 0.743 1
P1 P 0.001 0.297 0.746 1
P2 P 0.030 0.370 0.409 1
P3 P 0.290 0.003 0.746 1
P4 P 0.337 0.382 0.919 1
P5 P 0.381 0.052 0.079 1
P6 P 0.616 0.966 0.917 1
P7 P 0.637 0.675 0.412 1
P8 P 0.665 0.050 0.574 1
P9 P 0.720 0.012 0.243 1
P10 P 0.950 0.621 0.576 1
P11 P 0.951 0.339 0.080 1
P12 P 0.990 0.717 0.242 1
O1 O 0.008 0.832 0.914 1
O2 O 0.015 0.191 0.400 1
O3 O 0.015 0.833 0.188 1
O4 O 0.021 0.210 0.689 1
O5 O 0.115 0.642 0.851 1
O6 O 0.122 0.488 0.355 1
O7 O 0.134 0.646 0.571 1
O8 O 0.135 0.500 0.074 1
O9 O 0.154 0.451 0.463 1
O10 O 0.159 0.481 0.749 1
O11 O 0.160 0.708 0.246 1
O12 O 0.163 0.001 0.400 1
O13 O 0.169 0.682 0.968 1
O14 O 0.170 0.191 0.181 1
O15 O 0.173 0.205 0.913 1
O16 O 0.181 0.986 0.690 1
O17 O 0.184 0.163 0.575 1
O18 O 0.192 0.168 0.299 1
O19 O 0.200 0.038 0.082 1
O20 O 0.202 0.023 0.802 1
O21 O 0.296 0.834 0.750 1
O22 O 0.300 0.848 0.462 1
O23 O 0.308 0.482 0.245 1
O24 O 0.320 0.474 0.975 1
O25 O 0.360 0.885 0.347 1
O26 O 0.361 0.869 0.071 1
O27 O 0.362 0.514 0.570 1
O28 O 0.370 0.498 0.864 1
O29 O 0.473 0.158 0.742 1
O30 O 0.476 0.175 0.027 1
O31 O 0.476 0.300 0.234 1
O32 O 0.476 0.326 0.514 1
O33 O 0.487 0.129 0.137 1
O34 O 0.487 0.640 0.073 1
O35 O 0.490 0.363 0.631 1
O36 O 0.500 0.363 0.923 1
O37 O 0.501 0.168 0.415 1
O38 O 0.504 0.635 0.360 1
O39 O 0.505 0.866 0.570 1
O40 O 0.511 0.688 0.748 1
O41 O 0.512 0.883 0.860 1
O42 O 0.525 0.842 0.970 1
O43 O 0.535 0.850 0.247 1
O44 O 0.553 0.700 0.468 1
O45 O 0.634 0.144 0.924 1
O46 O 0.634 0.496 0.134 1
O47 O 0.651 0.134 0.632 1
O48 O 0.655 0.511 0.417 1
O49 O 0.676 0.158 0.519 1
O50 O 0.695 0.539 0.019 1
O51 O 0.696 0.525 0.743 1
O52 O 0.699 0.174 0.238 1
O53 O 0.796 0.977 0.912 1
O54 O 0.798 0.819 0.683 1
O55 O 0.807 0.988 0.187 1
O56 O 0.813 0.835 0.401 1
O57 O 0.821 0.811 0.802 1
O58 O 0.826 0.027 0.575 1
O59 O 0.827 0.026 0.298 1
O60 O 0.830 0.536 0.236 1
O61 O 0.833 0.519 0.524 1
O62 O 0.838 0.317 0.742 1
O63 O 0.839 0.822 0.086 1
O64 O 0.841 0.315 0.024 1
O65 O 0.843 0.492 0.922 1
O66 O 0.853 0.354 0.418 1
O67 O 0.859 0.359 0.134 1
O68 O 0.876 0.528 0.636 1
O69 O 0.960 0.800 0.578 1
O70 O 0.969 0.803 0.299 1
O71 O 0.976 0.178 0.084 1
O72 O 0.989 0.193 0.801 1



No. 4
# Na7Y4SiP5O24 | the Materials Project | GGA-PBE | relaxed
# Calculated formation energy: -3.07 eV per atom
# E: -7.21 eV per atom
# M_tot: 0.00 μB per cell
data_Na7Y4SiP5O24
_space_group_name_H-M_alt 'P 1'
_space_group_IT_number 1
_cell_length_a 9.389
_cell_length_b 9.389
_cell_length_c 23.420
_cell_angle_alpha 89.94
_cell_angle_beta 89.83
_cell_angle_gamma 60.01
loop_
_space_group_symop_operation_xyz
'x,y,z'
loop_
_atom_site_label
_atom_site_type_symbol
_atom_site_fract_x
_atom_site_fract_y
_atom_site_fract_z
_atom_site_occupancy
Na1 Na 0.000 0.000 0.000 1
Na2 Na 0.000 0.258 0.501 1
Na3 Na 0.000 0.630 0.750 1
Na4 Na 0.032 0.297 0.836 1
Na5 Na 0.039 0.924 0.336 1
Na6 Na 0.302 0.305 0.331 1
Na7 Na 0.327 0.959 0.916 1
Na8 Na 0.328 0.954 0.417 1
Na9 Na 0.333 0.327 0.668 1
Na10 Na 0.334 0.597 0.169 1
Na11 Na 0.355 0.267 0.998 1
Na12 Na 0.358 0.635 0.496 1
Na13 Na 0.645 0.622 0.001 1
Na14 Na 0.645 0.994 0.502 1
Na15 Na 0.662 0.658 0.335 1
Na16 Na 0.668 0.932 0.833 1
Na17 Na 0.673 0.286 0.084 1
Na18 Na 0.674 0.300 0.583 1
Na19 Na 0.968 0.329 0.163 1
Na20 Na 0.968 0.962 0.664 1
Na21 Na 0.997 0.640 0.250 1
Y1 Y 0.004 0.632 0.402 1
Y2 Y 0.010 0.626 0.900 1
Y3 Y 0.336 0.951 0.766 1
Y4 Y 0.336 0.965 0.068 1
Y5 Y 0.337 0.957 0.568 1
Y6 Y 0.337 0.961 0.265 1
Y7 Y 0.664 0.291 0.233 1
Y8 Y 0.664 0.302 0.932 1
Y9 Y 0.664 0.308 0.734 1
Y10 Y 0.666 0.297 0.432 1
Y11 Y 0.991 0.634 0.600 1
Y12 Y 0.992 0.634 0.100 1
Si1 Si 0.000 0.327 0.000 1
Si2 Si 0.000 0.935 0.501 1
Si3 Si 0.364 0.599 0.333 1
P1 P 0.035 0.963 0.167 1
P2 P 0.037 0.260 0.668 1
P3 P 0.299 0.630 0.003 1
P4 P 0.300 0.329 0.501 1
P5 P 0.331 0.269 0.166 1
P6 P 0.331 0.660 0.664 1
P7 P 0.366 0.293 0.832 1
P8 P 0.634 0.966 0.668 1
P9 P 0.637 0.658 0.167 1
P10 P 0.666 0.995 0.335 1
P11 P 0.670 0.599 0.836 1
P12 P 0.700 0.629 0.498 1
P13 P 0.702 0.929 0.997 1
P14 P 0.964 0.999 0.832 1
P15 P 0.967 0.297 0.332 1
O1 O 0.024 0.804 0.163 1
O2 O 0.026 0.430 0.664 1
O3 O 0.026 0.823 0.444 1
O4 O 0.028 0.414 0.943 1
O5 O 0.120 0.154 0.614 1
O6 O 0.120 0.983 0.113 1
O7 O 0.134 0.988 0.829 1
O8 O 0.140 0.943 0.220 1
O9 O 0.143 0.144 0.328 1
O10 O 0.144 0.174 0.721 1
O11 O 0.166 0.142 0.003 1
O12 O 0.166 0.953 0.504 1
O13 O 0.172 0.442 0.164 1
O14 O 0.172 0.645 0.663 1
O15 O 0.180 0.616 0.335 1
O16 O 0.186 0.661 0.951 1
O17 O 0.189 0.443 0.834 1
O18 O 0.194 0.407 0.447 1
O19 O 0.215 0.436 0.554 1
O20 O 0.222 0.606 0.057 1
O21 O 0.308 0.772 0.715 1
O22 O 0.312 0.185 0.220 1
O23 O 0.323 0.153 0.506 1
O24 O 0.326 0.781 0.006 1
O25 O 0.343 0.785 0.329 1
O26 O 0.347 0.167 0.112 1
O27 O 0.351 0.735 0.609 1
O28 O 0.353 0.133 0.829 1
O29 O 0.453 0.309 0.779 1
O30 O 0.454 0.485 0.277 1
O31 O 0.468 0.274 0.886 1
O32 O 0.470 0.471 0.996 1
O33 O 0.472 0.315 0.496 1
O34 O 0.474 0.515 0.390 1
O35 O 0.480 0.483 0.670 1
O36 O 0.482 0.294 0.168 1
O37 O 0.508 0.984 0.329 1
O38 O 0.520 0.776 0.830 1
O39 O 0.530 0.787 0.504 1
O40 O 0.531 0.941 0.004 1
O41 O 0.532 0.986 0.614 1
O42 O 0.533 0.742 0.113 1
O43 O 0.547 0.950 0.721 1
O44 O 0.551 0.759 0.221 1
O45 O 0.642 0.095 0.390 1
O46 O 0.648 0.126 0.671 1
O47 O 0.649 0.524 0.892 1
O48 O 0.651 0.484 0.169 1
O49 O 0.675 0.106 0.993 1
O50 O 0.678 0.476 0.496 1
O51 O 0.692 0.487 0.785 1
O52 O 0.697 0.080 0.284 1
O53 O 0.776 0.652 0.442 1
O54 O 0.779 0.827 0.942 1
O55 O 0.811 0.816 0.666 1
O56 O 0.813 0.633 0.165 1
O57 O 0.815 0.602 0.549 1
O58 O 0.815 0.847 0.048 1
O59 O 0.817 0.819 0.338 1
O60 O 0.829 0.613 0.837 1
O61 O 0.835 0.119 0.498 1
O62 O 0.835 0.306 0.996 1
O63 O 0.857 0.086 0.779 1
O64 O 0.861 0.318 0.279 1
O65 O 0.865 0.123 0.170 1
O66 O 0.866 0.271 0.671 1
O67 O 0.881 0.105 0.886 1
O68 O 0.888 0.268 0.386 1
O69 O 0.973 0.441 0.056 1
O70 O 0.973 0.846 0.557 1
O71 O 0.975 0.830 0.836 1
O72 O 0.980 0.455 0.337 1



- E of number 2 (Na3ZrTiSi2PO12)?
  -7.47 eV per atom